Computed, not measured: crystalline Na2LiBiCl6 at its relaxed geometry at the PBE level of DFT.

a b c (Å): 7.385 7.385 7.385
angles (deg): 60.00 60.00 60.00
Sites, in units of the cell vectors:
Bi (0.000, 0.000, 0.000)
Na (0.250, 0.250, 0.250)
Na (0.750, 0.750, 0.750)
Cl (0.258, 0.742, 0.742)
Cl (0.742, 0.258, 0.742)
Cl (0.742, 0.258, 0.258)
Cl (0.258, 0.258, 0.742)
Cl (0.742, 0.742, 0.258)
Cl (0.258, 0.742, 0.258)
Li (0.500, 0.500, 0.500)

Summary:
M_tot = 0.000 μB/atom
Calculated formation energy = -1.706 eV/atom
Final energy = -3.291 eV/atom